The following is a PBE calculation of an optimized crystal structure of Rb6CuAgO4, from Materials Project.

As for the magnetization: 0.01 μB/cell. For the energy of formation from the pure elements, the calculation gives -1.18 eV per atom. The value obtained for the total energy after the MP2020 corrections is -0.28620 Ry/atom.

a = 9.1450 Å, b = 9.1450 Å, c = 14.3857 Å
α = 90.00°, β = 90.00°, γ = 90.00°
Space group P4_1 (No. 76)
Asymmetric unit:
Rb 0.0264 0.4723 0.0000 x4
Rb 0.0340 0.0617 0.9982 x4
Rb 0.0551 0.5526 0.7500 x4
Rb 0.1536 0.7636 0.1414 x4
Rb 0.2636 0.6581 0.3589 x4
Rb 0.4400 0.4639 0.0016 x4
Cu 0.2373 0.2615 0.8345 x4
Ag 0.2393 0.2628 0.1656 x4
O 0.0373 0.2617 0.8342 x4
O 0.0400 0.7631 0.9194 x4
O 0.2403 0.4863 0.1667 x4
O 0.2645 0.5637 0.5811 x4